*w*
# PBE+U Cr2FeNO8, optimized geometry
# * V: 744.2 Å³ per cell
# * total magnetic moment: 8.887 μB/f.u.
# * calculated density: 2.69 Mg/m³
# * symmetry: P2_1/c (14)
data_Cr2FeNO8
_chemical_formula_sum 'Cr8 Fe4 N4 O32'
_cell_length_a 5.612
_cell_length_b 15.626
_cell_length_c 10.094
_cell_angle_alpha 90.00
_cell_angle_beta 122.77
_cell_angle_gamma 90.00
_space_group_name_H-M_alt 'P 1'
_space_group_IT_number 1
_space_group_name_Hall 'P 1'
loop_
_atom_site_label
_atom_site_fract_x
_atom_site_fract_y
_atom_site_fract_z
Cr1 0.094 0.081 0.360
Cr2 0.094 0.419 0.860
Cr3 0.207 0.117 0.961
Cr4 0.207 0.383 0.461
Cr5 0.793 0.617 0.539
Cr6 0.793 0.883 0.039
Cr7 0.906 0.581 0.140
Cr8 0.906 0.919 0.640
Fe1 0.481 0.554 0.740
Fe2 0.481 0.946 0.240
Fe3 0.519 0.054 0.760
Fe4 0.519 0.446 0.260
N1 0.264 0.706 0.001
N2 0.264 0.794 0.501
N3 0.736 0.206 0.499
N4 0.736 0.294 0.999
O1 0.009 0.162 0.243
O2 0.009 0.338 0.743
O3 0.149 0.634 0.642
O4 0.149 0.866 0.142
O5 0.205 0.534 0.172
O6 0.205 0.966 0.672
O7 0.271 0.010 0.320
O8 0.271 0.490 0.820
O9 0.285 0.019 0.041
O10 0.285 0.481 0.541
O11 0.302 0.114 0.550
O12 0.302 0.386 0.050
O13 0.324 0.126 0.838
O14 0.324 0.374 0.338
O15 0.362 0.188 0.098
O16 0.362 0.312 0.598
O17 0.638 0.688 0.402
O18 0.638 0.812 0.902
O19 0.676 0.626 0.662
O20 0.676 0.874 0.162
O21 0.698 0.614 0.950
O22 0.698 0.886 0.450
O23 0.715 0.519 0.459
O24 0.715 0.981 0.959
O25 0.729 0.510 0.180
O26 0.729 0.990 0.680
O27 0.795 0.034 0.328
O28 0.795 0.466 0.828
O29 0.851 0.134 0.858
O30 0.851 0.366 0.358
O31 0.991 0.662 0.257
O32 0.991 0.838 0.757


*x*
# PBE+U Cr2FeNO8, optimized geometry
# * V: 729.1 Å³ per cell
# * total magnetic moment: 8.317 μB/f.u.
# * calculated density: 2.75 Mg/m³
# * symmetry: Pnma (62)
data_Cr2FeNO8
_chemical_formula_sum 'Cr8 Fe4 N4 O32'
_cell_length_a 14.785
_cell_length_b 5.587
_cell_length_c 8.827
_cell_angle_alpha 90.00
_cell_angle_beta 90.00
_cell_angle_gamma 90.00
_space_group_name_H-M_alt 'P 1'
_space_group_IT_number 1
_space_group_name_Hall 'P 1'
loop_
_atom_site_label
_atom_site_fract_x
_atom_site_fract_y
_atom_site_fract_z
Cr1 0.066 0.250 0.183
Cr2 0.160 0.250 0.742
Cr3 0.340 0.750 0.242
Cr4 0.434 0.750 0.683
Cr5 0.566 0.250 0.317
Cr6 0.660 0.250 0.758
Cr7 0.840 0.750 0.258
Cr8 0.934 0.750 0.817
Fe1 0.157 0.750 0.995
Fe2 0.343 0.250 0.495
Fe3 0.657 0.750 0.505
Fe4 0.843 0.250 0.005
N1 0.126 0.750 0.468
N2 0.374 0.250 0.968
N3 0.626 0.750 0.032
N4 0.874 0.250 0.532
O1 0.026 0.750 0.928
O2 0.038 0.250 0.360
O3 0.053 0.250 0.714
O4 0.130 0.005 0.147
O5 0.130 0.495 0.147
O6 0.188 0.005 0.845
O7 0.188 0.495 0.845
O8 0.215 0.250 0.574
O9 0.285 0.750 0.074
O10 0.312 0.505 0.345
O11 0.312 0.995 0.345
O12 0.370 0.505 0.647
O13 0.370 0.995 0.647
O14 0.447 0.750 0.214
O15 0.462 0.750 0.860
O16 0.474 0.250 0.428
O17 0.526 0.750 0.572
O18 0.538 0.250 0.140
O19 0.553 0.250 0.786
O20 0.630 0.005 0.353
O21 0.630 0.495 0.353
O22 0.688 0.005 0.655
O23 0.688 0.495 0.655
O24 0.715 0.250 0.926
O25 0.785 0.750 0.426
O26 0.812 0.505 0.155
O27 0.812 0.995 0.155
O28 0.870 0.505 0.853
O29 0.870 0.995 0.853
O30 0.947 0.750 0.286
O31 0.962 0.750 0.640
O32 0.974 0.250 0.072


Best to worst by energy: *x*, *w*.


*w*
# PBE+U CrFeP2O8, optimized geometry
# * V: 433.9 Å³ per cell
# * total magnetic moment: 8.000 μB/f.u.
# * calculated density: 3.42 Mg/m³
# * symmetry: R3 (146)
data_CrFeP2O8
_chemical_formula_sum 'Cr3 Fe3 P6 O24'
_cell_length_a 8.394
_cell_length_b 8.394
_cell_length_c 8.394
_cell_angle_alpha 61.67
_cell_angle_beta 61.67
_cell_angle_gamma 61.67
_space_group_name_H-M_alt 'P 1'
_space_group_IT_number 1
_space_group_name_Hall 'P 1'
loop_
_atom_site_label
_atom_site_fract_x
_atom_site_fract_y
_atom_site_fract_z
Cr1 0.000 0.000 0.000
Cr2 0.143 0.143 0.143
Cr3 0.502 0.502 0.502
Fe1 0.354 0.354 0.354
Fe2 0.648 0.648 0.648
Fe3 0.855 0.855 0.855
P1 0.051 0.751 0.453
P2 0.251 0.547 0.953
P3 0.453 0.051 0.751
P4 0.547 0.953 0.251
P5 0.751 0.453 0.051
P6 0.953 0.251 0.547
O1 0.007 0.826 0.607
O2 0.064 0.908 0.249
O3 0.095 0.751 0.941
O4 0.107 0.326 0.507
O5 0.181 0.391 0.994
O6 0.249 0.064 0.908
O7 0.254 0.596 0.439
O8 0.326 0.507 0.107
O9 0.391 0.994 0.181
O10 0.407 0.564 0.749
O11 0.439 0.254 0.596
O12 0.493 0.896 0.679
O13 0.507 0.107 0.326
O14 0.564 0.749 0.407
O15 0.596 0.439 0.254
O16 0.607 0.007 0.826
O17 0.679 0.493 0.896
O18 0.749 0.407 0.564
O19 0.751 0.941 0.095
O20 0.826 0.607 0.007
O21 0.896 0.679 0.493
O22 0.908 0.249 0.064
O23 0.941 0.095 0.751
O24 0.994 0.181 0.391


*x*
# PBE+U CrFeP2O8, optimized geometry
# * V: 281.9 Å³ per cell
# * total magnetic moment: 2.000 μB/f.u.
# * calculated density: 3.51 Mg/m³
# * symmetry: P2_1/m (11)
data_CrFeP2O8
_chemical_formula_sum 'Cr2 Fe2 P4 O16'
_cell_length_a 4.837
_cell_length_b 5.848
_cell_length_c 9.965
_cell_angle_alpha 90.00
_cell_angle_beta 91.01
_cell_angle_gamma 90.00
_space_group_name_H-M_alt 'P 1'
_space_group_IT_number 1
_space_group_name_Hall 'P 1'
loop_
_atom_site_label
_atom_site_fract_x
_atom_site_fract_y
_atom_site_fract_z
Cr1 0.028 0.250 0.272
Cr2 0.972 0.750 0.728
Fe1 0.469 0.250 0.771
Fe2 0.531 0.750 0.229
P1 0.090 0.750 0.408
P2 0.420 0.750 0.905
P3 0.580 0.250 0.095
P4 0.910 0.250 0.592
O1 0.170 0.750 0.556
O2 0.223 0.250 0.615
O3 0.234 0.545 0.331
O4 0.234 0.955 0.331
O5 0.267 0.547 0.827
O6 0.267 0.953 0.827
O7 0.269 0.250 0.114
O8 0.348 0.750 0.053
O9 0.652 0.250 0.947
O10 0.731 0.750 0.886
O11 0.733 0.047 0.173
O12 0.733 0.453 0.173
O13 0.766 0.045 0.669
O14 0.766 0.455 0.669
O15 0.777 0.750 0.385
O16 0.830 0.250 0.444


Best to worst by energy: *x*, *w*.


*w*
# PBE+U TlCr2FeO8, optimized geometry
# * V: 205.6 Å³ per cell
# * total magnetic moment: 5.003 μB/f.u.
# * calculated density: 3.98 Mg/m³
# * symmetry: C2/m (12)
data_TlCr2FeO8
_chemical_formula_sum 'Tl1 Cr2 Fe1 O8'
_cell_length_a 5.267
_cell_length_b 5.267
_cell_length_c 8.288
_cell_angle_alpha 93.81
_cell_angle_beta 93.81
_cell_angle_gamma 63.73
_space_group_name_H-M_alt 'P 1'
_space_group_IT_number 1
_space_group_name_Hall 'P 1'
loop_
_atom_site_label
_atom_site_fract_x
_atom_site_fract_y
_atom_site_fract_z
Tl1 0.000 0.000 0.000
Cr1 0.369 0.369 0.694
Cr2 0.631 0.631 0.306
Fe1 0.000 0.000 0.500
O1 0.222 0.222 0.558
O2 0.224 0.723 0.671
O3 0.277 0.776 0.329
O4 0.315 0.315 0.877
O5 0.685 0.685 0.123
O6 0.723 0.224 0.671
O7 0.776 0.277 0.329
O8 0.778 0.778 0.442


*x*
# PBE+U TlCr2FeO8, optimized geometry
# * V: 730.2 Å³ per cell
# * total magnetic moment: 5.000 μB/f.u.
# * calculated density: 4.48 Mg/m³
# * symmetry: Pnma (62)
data_TlCr2FeO8
_chemical_formula_sum 'Tl4 Cr8 Fe4 O32'
_cell_length_a 14.819
_cell_length_b 5.553
_cell_length_c 8.874
_cell_angle_alpha 90.00
_cell_angle_beta 90.00
_cell_angle_gamma 90.00
_space_group_name_H-M_alt 'P 1'
_space_group_IT_number 1
_space_group_name_Hall 'P 1'
loop_
_atom_site_label
_atom_site_fract_x
_atom_site_fract_y
_atom_site_fract_z
Tl1 0.118 0.250 0.057
Tl2 0.382 0.750 0.557
Tl3 0.618 0.250 0.443
Tl4 0.882 0.750 0.943
Cr1 0.064 0.750 0.316
Cr2 0.160 0.750 0.756
Cr3 0.340 0.250 0.256
Cr4 0.436 0.250 0.816
Cr5 0.564 0.750 0.184
Cr6 0.660 0.750 0.744
Cr7 0.840 0.250 0.244
Cr8 0.936 0.250 0.684
Fe1 0.157 0.250 0.504
Fe2 0.343 0.750 0.004
Fe3 0.657 0.250 0.996
Fe4 0.843 0.750 0.496
O1 0.028 0.250 0.576
O2 0.037 0.750 0.138
O3 0.053 0.750 0.787
O4 0.126 0.501 0.350
O5 0.126 0.999 0.350
O6 0.189 0.504 0.657
O7 0.189 0.996 0.657
O8 0.215 0.750 0.924
O9 0.285 0.250 0.424
O10 0.311 0.004 0.157
O11 0.311 0.496 0.157
O12 0.374 0.001 0.850
O13 0.374 0.499 0.850
O14 0.447 0.250 0.287
O15 0.463 0.250 0.638
O16 0.472 0.750 0.076
O17 0.528 0.250 0.924
O18 0.537 0.750 0.362
O19 0.553 0.750 0.713
O20 0.626 0.501 0.150
O21 0.626 0.999 0.150
O22 0.689 0.504 0.843
O23 0.689 0.996 0.843
O24 0.715 0.750 0.576
O25 0.785 0.250 0.076
O26 0.811 0.004 0.343
O27 0.811 0.496 0.343
O28 0.874 0.001 0.650
O29 0.874 0.499 0.650
O30 0.947 0.250 0.213
O31 0.963 0.250 0.862
O32 0.972 0.750 0.424


Best to worst by energy: *w*, *x*.


*w*
# PBE+U MgCr4Hg4H4O18, optimized geometry
# * V: 457.2 Å³ per cell
# * total magnetic moment: 1.992 μB/f.u.
# * calculated density: 4.82 Mg/m³
# * symmetry: C2 (5)
data_MgCr4Hg4H4O18
_chemical_formula_sum 'Mg1 Cr4 Hg4 H4 O18'
_cell_length_a 6.567
_cell_length_b 6.567
_cell_length_c 14.071
_cell_angle_alpha 93.78
_cell_angle_beta 93.78
_cell_angle_gamma 49.06
_space_group_name_H-M_alt 'P 1'
_space_group_IT_number 1
_space_group_name_Hall 'P 1'
loop_
_atom_site_label
_atom_site_fract_x
_atom_site_fract_y
_atom_site_fract_z
Mg1 0.000 0.000 0.000
Cr1 0.106 0.733 0.172
Cr2 0.267 0.894 0.828
Cr3 0.401 0.246 0.645
Cr4 0.754 0.599 0.355
Hg1 0.324 0.105 0.159
Hg2 0.577 0.220 0.380
Hg3 0.780 0.423 0.620
Hg4 0.895 0.676 0.841
H1 0.107 0.811 0.540
H2 0.189 0.893 0.460
H3 0.503 0.454 0.946
H4 0.546 0.497 0.054
O1 0.019 0.503 0.418
O2 0.036 0.964 0.500
O3 0.056 0.473 0.660
O4 0.118 0.001 0.724
O5 0.166 0.725 0.888
O6 0.182 0.111 0.921
O7 0.275 0.834 0.112
O8 0.379 0.376 0.185
O9 0.473 0.413 0.586
O10 0.497 0.981 0.582
O11 0.527 0.944 0.340
O12 0.550 0.156 0.750
O13 0.587 0.527 0.414
O14 0.624 0.621 0.815
O15 0.635 0.365 0.000
O16 0.844 0.450 0.250
O17 0.889 0.818 0.079
O18 0.999 0.882 0.276


*x*
# PBE+U MgCr4Hg4H4O18, optimized geometry
# * V: 450.8 Å³ per cell
# * total magnetic moment: 0.005 μB/f.u.
# * calculated density: 4.89 Mg/m³
# * symmetry: P1 (1)
data_MgCr4Hg4H4O18
_chemical_formula_sum 'Mg1 Cr4 Hg4 H4 O18'
_cell_length_a 5.382
_cell_length_b 6.394
_cell_length_c 14.490
_cell_angle_alpha 78.06
_cell_angle_beta 80.20
_cell_angle_gamma 68.26
_space_group_name_H-M_alt 'P 1'
_space_group_IT_number 1
_space_group_name_Hall 'P 1'
loop_
_atom_site_label
_atom_site_fract_x
_atom_site_fract_y
_atom_site_fract_z
Mg1 0.000 0.000 0.000
Cr1 0.222 0.777 0.453
Cr2 0.334 0.168 0.636
Cr3 0.519 0.268 0.939
Cr4 0.917 0.683 0.164
Hg1 0.126 0.123 0.198
Hg2 0.637 0.743 0.925
Hg3 0.706 0.590 0.660
Hg4 0.847 0.350 0.430
H1 0.157 0.622 0.811
H2 0.460 0.344 0.274
H3 0.554 0.121 0.345
H4 0.968 0.849 0.760
O1 0.048 0.783 0.556
O2 0.102 0.876 0.135
O3 0.134 0.425 0.222
O4 0.137 0.632 0.393
O5 0.159 0.054 0.392
O6 0.286 0.129 0.956
O7 0.410 0.891 0.694
O8 0.416 0.314 0.697
O9 0.430 0.546 0.876
O10 0.499 0.173 0.531
O11 0.559 0.653 0.470
O12 0.619 0.238 0.306
O13 0.623 0.796 0.220
O14 0.635 0.246 0.042
O15 0.800 0.087 0.881
O16 0.904 0.704 0.040
O17 0.979 0.692 0.785
O18 0.992 0.286 0.623


*y*
# PBE+U MgCr4Hg4H4O18, optimized geometry
# * V: 442.4 Å³ per cell
# * total magnetic moment: 0.011 μB/f.u.
# * calculated density: 4.98 Mg/m³
# * symmetry: P1 (1)
data_MgCr4Hg4H4O18
_chemical_formula_sum 'Mg1 Cr4 Hg4 H4 O18'
_cell_length_a 5.622
_cell_length_b 6.438
_cell_length_c 13.666
_cell_angle_alpha 78.12
_cell_angle_beta 79.74
_cell_angle_gamma 66.86
_space_group_name_H-M_alt 'P 1'
_space_group_IT_number 1
_space_group_name_Hall 'P 1'
loop_
_atom_site_label
_atom_site_fract_x
_atom_site_fract_y
_atom_site_fract_z
Mg1 0.000 0.000 0.000
Cr1 0.140 0.301 0.541
Cr2 0.251 0.686 0.731
Cr3 0.542 0.819 0.053
Cr4 0.819 0.203 0.232
Hg1 0.000 0.631 0.268
Hg2 0.317 0.383 0.041
Hg3 0.633 0.118 0.742
Hg4 0.762 0.896 0.492
H1 0.046 0.306 0.838
H2 0.369 0.876 0.353
H3 0.428 0.661 0.434
H4 0.749 0.405 0.877
O1 0.052 0.336 0.215
O2 0.056 0.162 0.476
O3 0.081 0.575 0.480
O4 0.299 0.093 0.012
O5 0.308 0.704 0.034
O6 0.320 0.400 0.790
O7 0.323 0.824 0.802
O8 0.428 0.689 0.625
O9 0.468 0.171 0.559
O10 0.507 0.767 0.394
O11 0.544 0.317 0.299
O12 0.565 0.780 0.173
O13 0.780 0.165 0.114
O14 0.813 0.803 0.973
O15 0.899 0.262 0.876
O16 0.928 0.811 0.711
O17 0.970 0.306 0.651
O18 0.982 0.930 0.307


Best to worst by energy: *y*, *w*, *x*.